No. 1
# Sc5Si3 r2SCAN optimized geometry
# Density ... 3.3 g cm⁻³
# V ... 316 Å³/cell
# Size of the total moment ... 0.00 μB per formula unit
data_Sc5Si3
_chemical_formula_sum 'Sc10 Si6'
_space_group_name_H-M_alt 'P 63/m c m'
_space_group_IT_number 193
_space_group_name_Hall '-P 6c 2'
_cell_length_a 7.8950
_cell_length_b 7.8950
_cell_length_c 5.8451
_cell_angle_alpha 90.00
_cell_angle_beta 90.00
_cell_angle_gamma 120.00
loop_
_atom_site_label
_atom_site_fract_x
_atom_site_fract_y
_atom_site_fract_z
Sc1 0.0000 0.2415 0.2500
Sc2 0.3333 0.6667 0.0000
Si1 0.0000 0.3947 0.7500



No. 2
# Sm2ScSi2 r2SCAN optimized geometry
# Density ... 5.7 g cm⁻³
# V ... 234 Å³/cell
# Size of the total moment ... 0.51 μB per formula unit
data_Sm2ScSi2
_chemical_formula_sum 'Sm4 Sc2 Si4'
_space_group_name_H-M_alt 'P 4/m b m'
_space_group_IT_number 127
_space_group_name_Hall '-P 4 2ab'
_cell_length_a 7.335
_cell_length_b 7.335
_cell_length_c 4.351
_cell_angle_alpha 90.00
_cell_angle_beta 90.00
_cell_angle_gamma 90.00
loop_
_atom_site_label
_atom_site_fract_x
_atom_site_fract_y
_atom_site_fract_z
Sm1 0.177 0.323 0.000
Sc1 0.000 0.000 0.500
Si1 0.118 0.618 0.500



No. 3
# Sm2Sc3Si4 r2SCAN optimized geometry
# Density ... 4.8 g cm⁻³
# V ... 757 Å³/cell
# Size of the total moment ... 0.02 μB per formula unit
data_Sm2Sc3Si4
_chemical_formula_sum 'Sm8 Sc12 Si16'
_space_group_name_H-M_alt 'P n m a'
_space_group_IT_number 62
_space_group_name_Hall '-P 2ac 2n'
_cell_length_a 7.167
_cell_length_b 14.124
_cell_length_c 7.481
_cell_angle_alpha 90.00
_cell_angle_beta 90.00
_cell_angle_gamma 90.00
loop_
_atom_site_label
_atom_site_fract_x
_atom_site_fract_y
_atom_site_fract_z
Sm1 0.012 0.098 0.174
Sc1 0.162 0.750 0.502
Sc2 0.171 0.125 0.676
Si1 0.034 0.750 0.121
Si2 0.154 0.539 0.464
Si3 0.214 0.250 0.378



No. 4
# Sc2V3Si4 r2SCAN optimized geometry
# Density ... 4.4 g cm⁻³
# V ... 535 Å³/cell
# Size of the total moment ... 0.00 μB per formula unit
data_Sc2V3Si4
_chemical_formula_sum 'Sc8 V12 Si16'
_space_group_name_H-M_alt 'P 41 21 2'
_space_group_IT_number 92
_space_group_name_Hall 'P 4abw 2nw'
_cell_length_a 6.609
_cell_length_b 6.609
_cell_length_c 12.238
_cell_angle_alpha 90.00
_cell_angle_beta 90.00
_cell_angle_gamma 90.00
loop_
_atom_site_label
_atom_site_fract_x
_atom_site_fract_y
_atom_site_fract_z
Sc1 0.002 0.337 0.220
V1 0.008 0.843 0.123
V2 0.169 0.169 0.000
Si1 0.041 0.294 0.814
Si2 0.130 0.796 0.930



No. 5
# Sc5Sn3 r2SCAN optimized geometry
# Density ... 5.1 g cm⁻³
# V ... 376 Å³/cell
# Size of the total moment ... 0.00 μB per formula unit
data_Sc5Sn3
_chemical_formula_sum 'Sc10 Sn6'
_space_group_name_H-M_alt 'P 63/m c m'
_space_group_IT_number 193
_space_group_name_Hall '-P 6c 2'
_cell_length_a 8.4338
_cell_length_b 8.4338
_cell_length_c 6.1051
_cell_angle_alpha 90.00
_cell_angle_beta 90.00
_cell_angle_gamma 120.00
loop_
_atom_site_label
_atom_site_fract_x
_atom_site_fract_y
_atom_site_fract_z
Sc1 0.0000 0.2367 0.2500
Sc2 0.3333 0.6667 0.0000
Sn1 0.0000 0.3942 0.7500



No. 6
# Sc3Sn r2SCAN optimized geometry
# Density ... 4.6 g cm⁻³
# V ... 183 Å³/cell
# Size of the total moment ... 2.31 μB per formula unit
data_Sc3Sn
_chemical_formula_sum 'Sc6 Sn2'
_space_group_name_H-M_alt 'P 63/m m c'
_space_group_IT_number 194
_space_group_name_Hall '-P 6c 2c'
_cell_length_a 6.3736
_cell_length_b 6.3736
_cell_length_c 5.1993
_cell_angle_alpha 90.00
_cell_angle_beta 90.00
_cell_angle_gamma 120.00
loop_
_atom_site_label
_atom_site_fract_x
_atom_site_fract_y
_atom_site_fract_z
Sc1 0.1691 0.3381 0.2500
Sn1 0.3333 0.6667 0.7500



No. 7
# Sc6Sn5 r2SCAN optimized geometry
# Density ... 5.5 g cm⁻³
# V ... 1033 Å³/cell
# Size of the total moment ... 0.00 μB per formula unit
data_Sc6Sn5
_chemical_formula_sum 'Sc24 Sn20'
_space_group_name_H-M_alt 'I b a m'
_space_group_IT_number 72
_space_group_name_Hall '-I 2 2c'
_cell_length_a 8.863
_cell_length_b 19.082
_cell_length_c 6.111
_cell_angle_alpha 90.00
_cell_angle_beta 90.00
_cell_angle_gamma 90.00
loop_
_atom_site_label
_atom_site_fract_x
_atom_site_fract_y
_atom_site_fract_z
Sc1 0.000 0.194 0.250
Sc2 0.116 0.359 0.000
Sc3 0.239 0.061 0.000
Sn1 0.000 0.500 0.250
Sn2 0.096 0.072 0.500
Sn3 0.196 0.292 0.500



No. 8
# Sc3Sn r2SCAN optimized geometry
# Density ... 4.6 g cm⁻³
# V ... 92 Å³/cell
# Size of the total moment ... 2.70 μB per formula unit
data_Sc3Sn
_chemical_formula_sum 'Sc3 Sn1'
_space_group_name_H-M_alt 'P m -3 m'
_space_group_IT_number 221
_space_group_name_Hall '-P 4 2 3'
_cell_length_a 4.520
_cell_length_b 4.520
_cell_length_c 4.520
_cell_angle_alpha 90.00
_cell_angle_beta 90.00
_cell_angle_gamma 90.00
loop_
_atom_site_label
_atom_site_fract_x
_atom_site_fract_y
_atom_site_fract_z
Sc1 0.000 0.000 0.500
Sn1 0.500 0.500 0.500



No. 9
# ScTaTc2 r2SCAN optimized geometry
# Density ... 10.8 g cm⁻³
# V ... 260 Å³/cell
# Size of the total moment ... 0.00 μB per formula unit
data_ScTaTc2
_chemical_formula_sum 'Sc4 Ta4 Tc8'
_space_group_name_H-M_alt 'F m -3 m'
_space_group_IT_number 225
_space_group_name_Hall '-F 4 2 3'
_cell_length_a 6.386
_cell_length_b 6.386
_cell_length_c 6.386
_cell_angle_alpha 90.00
_cell_angle_beta 90.00
_cell_angle_gamma 90.00
loop_
_atom_site_label
_atom_site_fract_x
_atom_site_fract_y
_atom_site_fract_z
Sc1 0.000 0.000 0.000
Ta1 0.000 0.000 0.500
Tc1 0.250 0.250 0.250



No. 10
# TbSc r2SCAN optimized geometry
# Density ... 5.9 g cm⁻³
# V ... 57 Å³/cell
# Size of the total moment ... 0.00 μB per formula unit
data_TbSc
_chemical_formula_sum 'Tb1 Sc1'
_space_group_name_H-M_alt 'P -6 m 2'
_space_group_IT_number 187
_space_group_name_Hall 'P -6 2'
_cell_length_a 3.5003
_cell_length_b 3.5003
_cell_length_c 5.3892
_cell_angle_alpha 90.00
_cell_angle_beta 90.00
_cell_angle_gamma 120.00
loop_
_atom_site_label
_atom_site_fract_x
_atom_site_fract_y
_atom_site_fract_z
Tb1 0.0000 0.0000 0.0000
Sc1 0.3333 0.6667 0.5000



No. 11
# ScTc3 r2SCAN optimized geometry
# Density ... 9.2 g cm⁻³
# V ... 244 Å³/cell
# Size of the total moment ... 0.00 μB per formula unit
data_ScTc3
_chemical_formula_sum 'Sc4 Tc12'
_space_group_name_H-M_alt 'F m -3 m'
_space_group_IT_number 225
_space_group_name_Hall '-F 4 2 3'
_cell_length_a 6.248
_cell_length_b 6.248
_cell_length_c 6.248
_cell_angle_alpha 90.00
_cell_angle_beta 90.00
_cell_angle_gamma 90.00
loop_
_atom_site_label
_atom_site_fract_x
_atom_site_fract_y
_atom_site_fract_z
Sc1 0.000 0.000 0.000
Tc1 0.000 0.000 0.500
Tc2 0.250 0.250 0.250



No. 12
# ThScTc2 r2SCAN optimized geometry
# Density ... 10.2 g cm⁻³
# V ... 307 Å³/cell
# Size of the total moment ... 0.00 μB per formula unit
data_ThScTc2
_chemical_formula_sum 'Th4 Sc4 Tc8'
_space_group_name_H-M_alt 'F m -3 m'
_space_group_IT_number 225
_space_group_name_Hall '-F 4 2 3'
_cell_length_a 6.743
_cell_length_b 6.743
_cell_length_c 6.743
_cell_angle_alpha 90.00
_cell_angle_beta 90.00
_cell_angle_gamma 90.00
loop_
_atom_site_label
_atom_site_fract_x
_atom_site_fract_y
_atom_site_fract_z
Th1 0.000 0.000 0.000
Sc1 0.000 0.000 0.500
Tc1 0.250 0.250 0.250



| no. | ΔH_f (0 K) (eV/atom) |
| --- | --- |
| 1 | -0.80 |
| 2 | -0.80 |
| 3 | -0.87 |
| 4 | -0.77 |
| 5 | -0.75 |
| 6 | -0.50 |
| 7 | -0.72 |
| 8 | -0.50 |
| 9 | -0.34 |
| 10 | 0.07 |
| 11 | -0.13 |
| 12 | -0.18 |